First-principles (PBE) data for crystalline RbMg14V at its relaxed geometry, as listed in the Materials Project.

Cell: 6.5432 6.5432 10.5191 Å, 90.00 90.00 120.00°
With the nearest neighbours (Å) after each atom.
Fractional positions:
1 Mg 0.3349 0.1651 0.8961  10 Mg 3.07-3.40, 1 V 3.07, 1 Rb 3.43
2 Mg 0.8303 0.1651 0.8961  10 Mg 3.07-3.40, 1 V 3.07, 1 Rb 3.43
3 Mg 0.8333 0.6667 0.8681  12 Mg 3.21-3.28
4 Mg 0.6615 0.8385 0.6250  10 Mg 3.17-3.40, 2 Rb 3.27
5 Mg 0.6615 0.3230 0.6250  10 Mg 3.17-3.40, 2 Rb 3.27
6 Mg 0.3349 0.1651 0.3539  10 Mg 3.07-3.40, 1 V 3.07, 1 Rb 3.43
7 Mg 0.6699 0.3399 0.1250  10 Mg 3.07-3.34, 2 V 3.27
8 Mg 0.1770 0.8385 0.6250  10 Mg 3.17-3.40, 2 Rb 3.27
9 Mg 0.6699 0.8301 0.1250  10 Mg 3.07-3.34, 2 V 3.27
10 Mg 0.8303 0.1651 0.3539  10 Mg 3.07-3.40, 1 V 3.07, 1 Rb 3.43
11 Mg 0.3349 0.6697 0.8961  10 Mg 3.07-3.40, 1 V 3.07, 1 Rb 3.43
12 Mg 0.3349 0.6697 0.3539  10 Mg 3.07-3.40, 1 V 3.07, 1 Rb 3.43
13 Mg 0.1601 0.8301 0.1250  10 Mg 3.07-3.34, 2 V 3.27
14 Mg 0.8333 0.6667 0.3819  12 Mg 3.21-3.28
15 Rb 0.1667 0.3333 0.6250  12 Mg 3.27-3.43
16 V 0.1667 0.3333 0.1250  12 Mg 3.07-3.27

Computed properties:
DFT total energy = -1.8021 eV per atom
M_tot = 2.981 Bohr magnetons per cell
offset from the most stable computed form = 0.000 eV per atom
energy of formation from the pure elements = 227 meV/atom